[1]
{"formula": "La2SbO2", "functional": "PBE", "state": "relaxed", "lattice_angstrom": [[1.2774, -7.4355, 0.6787], [-0.0214, -4.9696, 5.7169], [-3.4186, 5.6764, -3.6703]], "species": ["O", "O", "La", "La", "Sb"], "fractional_positions": [[0.2499, 0.7607, 0.5109], [0.7501, 0.2610, 0.5109], [0.3373, 0.3492, 0.0120], [0.6627, 0.6747, 0.0120], [0.0000, 0.0273, 0.0273]], "crystal_system": "orthorhombic", "formation_enthalpy_0k_kj_per_mol_atoms": -289.4, "total_magnetization_mub_per_fu": 0.006, "space_group": "Imm2"}


[2]
{"formula": "Ba4Ru3O10", "functional": "PBE", "state": "relaxed", "lattice_angstrom": [[2.9350, -6.6967, 0.0000], [2.9350, 6.6967, 0.0000], [0.0000, 0.0000, 13.3029]], "species": ["O", "O", "O", "O", "O", "O", "O", "O", "O", "O", "O", "O", "O", "O", "O", "O", "O", "O", "O", "O", "Ba", "Ba", "Ba", "Ba", "Ba", "Ba", "Ba", "Ba", "Ru", "Ru", "Ru", "Ru", "Ru", "Ru"], "fractional_positions": [[0.6593, 0.8792, 0.0352], [0.6307, 0.8693, 0.2500], [0.2306, 0.7694, 0.3497], [0.8693, 0.6307, 0.7500], [0.3792, 0.1593, 0.5352], [0.6208, 0.8407, 0.4648], [0.3693, 0.1307, 0.7500], [0.9648, 0.0352, 0.8501], [0.8407, 0.6208, 0.5352], [0.1307, 0.3693, 0.2500], [0.5352, 0.4648, 0.3501], [0.1593, 0.3792, 0.4648], [0.2694, 0.7306, 0.8497], [0.1208, 0.3407, 0.0352], [0.0352, 0.9648, 0.1499], [0.8792, 0.6593, 0.9648], [0.4648, 0.5352, 0.6499], [0.3407, 0.1208, 0.9648], [0.7306, 0.2694, 0.1503], [0.7694, 0.2306, 0.6503], [0.2596, 0.7404, 0.6131], [0.0346, 0.9654, 0.3605], [0.5346, 0.4654, 0.1395], [0.2404, 0.7596, 0.1131], [0.7404, 0.2596, 0.3869], [0.4654, 0.5346, 0.8605], [0.9654, 0.0346, 0.6395], [0.7596, 0.2404, 0.8869], [0.1242, 0.8758, 0.8509], [0.3758, 0.6242, 0.3509], [0.6242, 0.3758, 0.6491], [0.0000, 0.0000, 0.0000], [0.5000, 0.5000, 0.5000], [0.8758, 0.1242, 0.1491]], "crystal_system": "orthorhombic", "formation_enthalpy_0k_kj_per_mol_atoms": -221.0, "space_group": "Cmce"}


[3]
{"formula": "ZnBi", "functional": "PBE", "state": "relaxed", "lattice_angstrom": [[-2.5866, 2.3059, -3.1850], [3.7752, -2.4560, -1.3665], [-3.6354, -5.1544, -0.7794]], "species": ["Bi", "Bi", "Zn", "Zn"], "fractional_positions": [[0.6667, 0.3333, 0.4194], [0.3333, 0.6667, 0.9194], [0.6667, 0.3333, 0.9626], [0.3333, 0.6667, 0.4626]], "crystal_system": "hexagonal", "formation_enthalpy_0k_kj_per_mol_atoms": 23.1, "total_magnetization_mub_per_fu": 0.000, "space_group": "P6_3mc"}


[4]
{"formula": "ZrAlCr3", "functional": "PBE", "state": "relaxed", "lattice_angstrom": [[0.6899, 4.9740, 3.0967], [-5.3202, -2.5205, -0.3862], [1.0306, -2.8388, 4.3302]], "species": ["Zr", "Zr", "Cr", "Cr", "Cr", "Cr", "Cr", "Cr", "Al", "Al"], "fractional_positions": [[0.6667, 0.3333, 0.2500], [0.3333, 0.6667, 0.7500], [0.7919, 0.5837, 0.7500], [0.5837, 0.7919, 0.2500], [0.2082, 0.4163, 0.2500], [0.7919, 0.2082, 0.7500], [0.4163, 0.2082, 0.7500], [0.2082, 0.7919, 0.2500], [0.0000, 0.0000, 0.0000], [0.0000, 0.0000, 0.5000]], "crystal_system": "hexagonal", "formation_enthalpy_0k_kj_per_mol_atoms": 50.3, "total_magnetization_mub_per_fu": 0.036, "space_group": "P6_3/mmc"}


[5]
{"formula": "La6Mg23C", "functional": "PBE", "state": "relaxed", "lattice_angstrom": [[0.0000, 7.2542, 7.2542], [7.2542, 0.0000, 7.2542], [7.2542, 7.2542, 0.0000]], "species": ["Mg", "Mg", "Mg", "Mg", "Mg", "Mg", "Mg", "Mg", "Mg", "Mg", "Mg", "Mg", "Mg", "Mg", "Mg", "Mg", "Mg", "Mg", "Mg", "Mg", "Mg", "Mg", "Mg", "La", "La", "La", "La", "La", "La", "C"], "fractional_positions": [[0.6195, 0.1414, 0.6195], [0.5000, 0.0000, 0.0000], [0.5000, 0.0000, 0.5000], [0.5000, 0.5000, 0.0000], [0.1735, 0.4794, 0.1735], [0.8265, 0.8265, 0.8265], [0.0000, 0.0000, 0.5000], [0.3805, 0.8586, 0.3805], [0.6195, 0.6195, 0.6195], [0.3805, 0.3805, 0.8586], [0.0000, 0.5000, 0.5000], [0.5206, 0.8265, 0.8265], [0.3805, 0.3805, 0.3805], [0.8265, 0.5206, 0.8265], [0.1735, 0.1735, 0.4794], [0.4794, 0.1735, 0.1735], [0.1735, 0.1735, 0.1735], [0.8586, 0.3805, 0.3805], [0.8265, 0.8265, 0.5206], [0.1414, 0.6195, 0.6195], [0.5000, 0.5000, 0.5000], [0.6195, 0.6195, 0.1414], [0.0000, 0.5000, 0.0000], [0.8145, 0.1855, 0.1855], [0.1855, 0.8145, 0.8145], [0.8145, 0.1855, 0.8145], [0.8145, 0.8145, 0.1855], [0.1855, 0.8145, 0.1855], [0.1855, 0.1855, 0.8145], [0.0000, 0.0000, 0.0000]], "crystal_system": "cubic", "formation_enthalpy_0k_kj_per_mol_atoms": -10.6, "space_group": "Fm-3m"}


[6]
{"formula": "Lu2FeC4", "functional": "PBE", "state": "relaxed", "lattice_angstrom": [[2.4597, -1.3948, 4.0417], [-3.8218, -0.4846, 5.1686], [-0.9290, -6.2167, 1.4300]], "species": ["C", "C", "C", "C", "C", "C", "C", "C", "Lu", "Lu", "Lu", "Lu", "Fe", "Fe"], "fractional_positions": [[0.9222, 0.2463, 0.9093], [0.6304, 0.2116, 0.5277], [0.8696, 0.4723, 0.7884], [0.1304, 0.5277, 0.2116], [0.3696, 0.7884, 0.4723], [0.0778, 0.7537, 0.0907], [0.4222, 0.9093, 0.2463], [0.5778, 0.0907, 0.7537], [0.1457, 0.2001, 0.5085], [0.6457, 0.5085, 0.2001], [0.3543, 0.4915, 0.7999], [0.8543, 0.7999, 0.4915], [0.7500, 0.0000, 0.0000], [0.2500, 0.0000, 0.0000]], "crystal_system": "orthorhombic", "formation_enthalpy_0k_kj_per_mol_atoms": -31.1, "total_magnetization_mub_per_fu": 0.004, "space_group": "Ibam"}


> Number 1 is which compound?

La2SbO2